Record 1
# Gd3SiBr3

A geometry-optimized Gd3SiBr3 structure (r2SCAN, the Materials Project database).

Cell: 10.139 10.139 10.092 Å, 109.36 109.36 109.58°
Fractional coordinates of all 28 atoms:
Gd1 0.000 0.000 0.000
Gd2 0.000 0.215 0.740
Gd3 0.024 0.489 0.489
Gd4 0.024 0.750 0.273
Gd5 0.239 0.226 0.489
Gd6 0.250 0.488 0.262
Gd7 0.250 0.976 0.727
Gd8 0.511 0.976 0.511
Gd9 0.512 0.750 0.738
Gd10 0.774 0.226 0.000
Gd11 0.774 0.761 0.511
Gd12 0.785 0.000 0.260
Si1 0.011 0.989 0.500
Si2 0.013 0.239 0.251
Si3 0.262 0.738 0.500
Si4 0.761 0.987 0.749
Br1 0.011 0.732 0.756
Br2 0.012 0.494 0.994
Br3 0.268 0.493 0.762
Br4 0.268 0.989 0.244
Br5 0.274 0.244 0.006
Br6 0.506 0.988 0.006
Br7 0.507 0.732 0.238
Br8 0.517 0.483 0.500
Br9 0.518 0.249 0.755
Br10 0.751 0.482 0.245
Br11 0.756 0.244 0.500
Br12 0.756 0.726 0.994

Properties
Energy relative to the elements   -11.0 eV/f.u.
Mass density   6.14 g/cm³
VASP energy   -27.11 eV per atom
Spin magnetization   28.92 μB/cell

Record 2
# GeBr2

A geometry-optimized GeBr2 structure (r2SCAN, the Materials Project database).

Cell: 8.940 7.008 12.919 Å, 79.26 90.00 90.00°
Fractional coordinates of all 24 atoms:
Ge1 0.871 0.728 0.497
Ge2 0.871 0.272 0.003
Ge3 0.129 0.728 0.997
Br1 0.427 0.833 0.128
Br2 0.427 0.167 0.372
Br3 0.834 0.096 0.386
Br4 0.927 0.333 0.628
Br5 0.166 0.904 0.614
Br6 0.573 0.833 0.628
Br7 0.927 0.667 0.872
Ge4 0.129 0.272 0.503
Br8 0.166 0.096 0.886
Br9 0.834 0.904 0.114
Ge5 0.629 0.228 0.497
Br10 0.573 0.167 0.872
Br11 0.334 0.404 0.614
Br12 0.073 0.667 0.372
Br13 0.666 0.404 0.114
Ge6 0.629 0.772 0.003
Br14 0.073 0.333 0.128
Ge7 0.371 0.228 0.997
Ge8 0.371 0.772 0.503
Br15 0.334 0.596 0.886
Br16 0.666 0.596 0.386

Properties
Energy relative to the elements   -1.7 eV/f.u.
Mass density   3.88 g/cm³
VASP energy   -14.04 eV per atom
Spin magnetization   0.00 μB/cell

Record 3
# GeBr2

A geometry-optimized GeBr2 structure (r2SCAN, the Materials Project database).

Cell: 6.686 6.686 4.093 Å, 90.00 90.00 90.00°
Fractional coordinates of all 6 atoms:
Ge1 0.000 0.000 0.000
Ge2 0.500 0.500 0.500
Br1 0.202 0.202 0.500
Br2 0.298 0.702 0.000
Br3 0.702 0.298 0.000
Br4 0.798 0.798 0.500

Properties
Energy relative to the elements   -1.6 eV/f.u.
Mass density   4.22 g/cm³
VASP energy   -13.99 eV per atom
Spin magnetization   0.00 μB/cell

Record 4
# RbGeBr3

A geometry-optimized RbGeBr3 structure (r2SCAN, the Materials Project database).

Cell: 6.152 7.453 8.146 Å, 90.00 105.82 90.00°
Fractional coordinates of all 10 atoms:
Rb1 0.177 0.250 0.294
Rb2 0.823 0.750 0.706
Ge1 0.436 0.250 0.887
Ge2 0.564 0.750 0.113
Br1 0.166 0.750 0.129
Br2 0.313 0.000 0.680
Br3 0.313 0.500 0.680
Br4 0.687 0.000 0.320
Br5 0.687 0.500 0.320
Br6 0.834 0.250 0.871

Properties
Energy relative to the elements   -6.0 eV/f.u.
Mass density   3.68 g/cm³
VASP energy   -14.71 eV per atom
Spin magnetization   0.00 μB/cell

Record 5
# RbGeBr3

A geometry-optimized RbGeBr3 structure (r2SCAN, the Materials Project database).

Cell: 8.267 7.628 11.303 Å, 90.00 90.00 90.00°
Fractional coordinates of all 20 atoms:
Rb1 0.086 0.033 0.000
Rb2 0.414 0.533 0.500
Rb3 0.586 0.467 0.000
Rb4 0.914 0.967 0.500
Ge1 0.034 0.518 0.771
Ge2 0.466 0.018 0.271
Ge3 0.534 0.982 0.771
Ge4 0.966 0.482 0.271
Br1 0.006 0.580 0.990
Br2 0.182 0.797 0.717
Br3 0.212 0.829 0.290
Br4 0.288 0.329 0.790
Br5 0.318 0.297 0.217
Br6 0.494 0.080 0.490
Br7 0.506 0.920 0.990
Br8 0.682 0.703 0.717
Br9 0.712 0.671 0.290
Br10 0.788 0.171 0.790
Br11 0.818 0.203 0.217
Br12 0.994 0.420 0.490

Properties
Energy relative to the elements   -6.0 eV/f.u.
Mass density   3.71 g/cm³
VASP energy   -14.71 eV per atom
Spin magnetization   0.00 μB/cell

Record 6
# Ge2S3Br2

A geometry-optimized Ge2S3Br2 structure (r2SCAN, the Materials Project database).

Cell: 9.145 10.183 10.371 Å, 86.16 63.95 89.95°
Fractional coordinates of all 28 atoms:
Ge1 0.135 0.302 0.167
Ge2 0.142 0.773 0.484
Ge3 0.198 0.509 0.677
Ge4 0.242 0.821 0.758
Ge5 0.758 0.179 0.242
Ge6 0.802 0.491 0.323
Ge7 0.858 0.227 0.516
Ge8 0.865 0.698 0.833
S1 0.015 0.170 0.077
S2 0.063 0.511 0.166
S3 0.125 0.223 0.376
S4 0.237 0.571 0.454
S5 0.287 0.912 0.543
S6 0.348 0.624 0.753
S7 0.652 0.376 0.247
S8 0.713 0.088 0.457
S9 0.763 0.429 0.546
S10 0.875 0.777 0.624
S11 0.937 0.489 0.834
S12 0.985 0.830 0.923
Br1 0.177 0.852 0.260
Br2 0.291 0.300 0.666
Br3 0.384 0.957 0.834
Br4 0.405 0.307 0.009
Br5 0.595 0.693 0.991
Br6 0.616 0.043 0.166
Br7 0.709 0.700 0.334
Br8 0.823 0.148 0.740

Properties
Energy relative to the elements   -3.6 eV/f.u.
Mass density   3.08 g/cm³
VASP energy   -11.70 eV per atom
Spin magnetization   0.00 μB/cell

Record 7
# HBr

A geometry-optimized HBr structure (r2SCAN, the Materials Project database).

Cell: 6.508 5.409 5.452 Å, 90.00 90.00 90.00°
Fractional coordinates of all 8 atoms:
H1 0.000 0.056 0.000
H2 0.000 0.944 0.500
H3 0.500 0.444 0.500
H4 0.500 0.556 0.000
Br1 0.000 0.249 0.816
Br2 0.000 0.751 0.316
Br3 0.500 0.251 0.316
Br4 0.500 0.749 0.816

Properties
Energy relative to the elements   -0.5 eV/f.u.
Mass density   2.80 g/cm³
VASP energy   -8.63 eV per atom
Spin magnetization   0.00 μB/cell

Record 8
# HBr

A geometry-optimized HBr structure (r2SCAN, the Materials Project database).

Cell: 5.393 5.518 6.505 Å, 90.00 90.00 90.00°
Fractional coordinates of all 8 atoms:
H1 0.176 0.195 0.497
H2 0.324 0.805 0.997
H3 0.676 0.305 0.503
H4 0.824 0.695 0.003
Br1 0.006 0.503 0.997
Br2 0.494 0.497 0.497
Br3 0.506 0.997 0.003
Br4 0.994 0.003 0.503

Properties
Energy relative to the elements   -0.5 eV/f.u.
Mass density   2.78 g/cm³
VASP energy   -8.63 eV per atom
Spin magnetization   0.00 μB/cell

Record 9
# H15RhBr3N5

A geometry-optimized H15RhBr3N5 structure (r2SCAN, the Materials Project database).

Cell: 13.909 10.936 6.882 Å, 90.00 90.00 90.00°
Fractional coordinates of all 96 atoms:
H1 0.025 0.029 0.197
H2 0.025 0.471 0.197
H3 0.026 0.250 0.553
H4 0.046 0.675 0.595
H5 0.046 0.825 0.595
H6 0.124 0.023 0.066
H7 0.124 0.477 0.066
H8 0.130 0.023 0.306
H9 0.130 0.477 0.306
H10 0.188 0.174 0.878
H11 0.188 0.326 0.878
H12 0.202 0.174 0.482
H13 0.202 0.326 0.482
H14 0.225 0.750 0.839
H15 0.234 0.750 0.512
H16 0.266 0.250 0.012
H17 0.275 0.250 0.339
H18 0.298 0.674 0.982
H19 0.298 0.826 0.982
H20 0.312 0.674 0.378
H21 0.312 0.826 0.378
H22 0.370 0.523 0.806
H23 0.370 0.977 0.806
H24 0.376 0.523 0.566
H25 0.376 0.977 0.566
H26 0.454 0.175 0.095
H27 0.454 0.325 0.095
H28 0.474 0.750 0.053
H29 0.475 0.529 0.697
H30 0.475 0.971 0.697
H31 0.525 0.029 0.303
H32 0.525 0.471 0.303
H33 0.526 0.250 0.947
H34 0.546 0.675 0.905
H35 0.546 0.825 0.905
H36 0.624 0.023 0.434
H37 0.624 0.477 0.434
H38 0.630 0.023 0.194
H39 0.630 0.477 0.194
H40 0.688 0.174 0.622
H41 0.688 0.326 0.622
H42 0.702 0.174 0.018
H43 0.702 0.326 0.018
H44 0.725 0.750 0.661
H45 0.734 0.750 0.988
H46 0.766 0.250 0.488
H47 0.775 0.250 0.161
H48 0.798 0.674 0.518
H49 0.798 0.826 0.518
H50 0.812 0.674 0.122
H51 0.812 0.826 0.122
H52 0.870 0.523 0.694
H53 0.870 0.977 0.694
H54 0.876 0.523 0.934
H55 0.876 0.977 0.934
H56 0.954 0.175 0.405
H57 0.954 0.325 0.405
H58 0.974 0.750 0.447
H59 0.975 0.529 0.803
H60 0.975 0.971 0.803
Rh1 0.098 0.250 0.190
Rh2 0.402 0.750 0.690
Rh3 0.598 0.250 0.310
Rh4 0.902 0.750 0.810
Br1 0.035 0.750 0.057
Br2 0.155 0.507 0.673
Br3 0.155 0.993 0.673
Br4 0.345 0.007 0.173
Br5 0.345 0.493 0.173
Br6 0.465 0.250 0.557
Br7 0.535 0.750 0.443
Br8 0.655 0.507 0.827
Br9 0.655 0.993 0.827
Br10 0.845 0.007 0.327
Br11 0.845 0.493 0.327
Br12 0.965 0.250 0.943
N1 0.002 0.750 0.584
N2 0.095 0.060 0.189
N3 0.095 0.440 0.189
N4 0.196 0.250 0.964
N5 0.207 0.250 0.395
N6 0.293 0.750 0.895
N7 0.304 0.750 0.464
N8 0.405 0.560 0.689
N9 0.405 0.940 0.689
N10 0.498 0.250 0.084
N11 0.502 0.750 0.916
N12 0.595 0.060 0.311
N13 0.595 0.440 0.311
N14 0.696 0.250 0.536
N15 0.707 0.250 0.105
N16 0.793 0.750 0.605
N17 0.804 0.750 0.036
N18 0.905 0.560 0.811
N19 0.905 0.940 0.811
N20 0.998 0.250 0.416

Properties
Energy relative to the elements   -12.8 eV/f.u.
Mass density   2.71 g/cm³
VASP energy   -7.26 eV per atom
Spin magnetization   0.00 μB/cell

Record 10
# Rb2HBrO

A geometry-optimized Rb2HBrO structure (r2SCAN, the Materials Project database).

Cell: 6.941 4.479 8.907 Å, 90.00 108.00 90.00°
Fractional coordinates of all 10 atoms:
Rb1 0.207 0.250 0.382
Rb2 0.215 0.250 0.963
Rb3 0.785 0.750 0.037
Rb4 0.793 0.750 0.618
H1 0.336 0.750 0.207
H2 0.664 0.250 0.793
Br1 0.324 0.750 0.698
Br2 0.676 0.250 0.302
O1 0.190 0.750 0.169
O2 0.810 0.250 0.831

Properties
Energy relative to the elements   -8.2 eV/f.u.
Mass density   3.38 g/cm³
VASP energy   -11.74 eV per atom
Spin magnetization   0.05 μB/cell

Record 11
# SrHBr

A geometry-optimized SrHBr structure (r2SCAN, the Materials Project database).

Cell: 4.239 4.239 7.288 Å, 90.00 90.00 90.00°
Fractional coordinates of all 6 atoms:
Sr1 0.250 0.250 0.187
Sr2 0.750 0.750 0.813
H1 0.250 0.750 0.000
H2 0.750 0.250 0.000
Br1 0.250 0.250 0.653
Br2 0.750 0.750 0.347

Properties
Energy relative to the elements   -4.8 eV/f.u.
Mass density   4.27 g/cm³
VASP energy   -12.22 eV per atom
Spin magnetization   0.00 μB/cell

Record 12
# Sr7H12Br2

A geometry-optimized Sr7H12Br2 structure (r2SCAN, the Materials Project database).

Cell: 10.047 10.047 4.016 Å, 90.00 90.00 120.00°
Fractional coordinates of all 21 atoms:
Sr1 0.000 0.000 0.000
Sr2 0.110 0.718 0.500
Sr3 0.282 0.392 0.500
Sr4 0.408 0.100 0.000
Sr5 0.608 0.890 0.500
Sr6 0.692 0.592 0.000
Sr7 0.900 0.308 0.000
H1 0.050 0.440 0.500
H2 0.121 0.275 0.000
H3 0.154 0.879 0.000
H4 0.213 0.107 0.500
H5 0.390 0.950 0.500
H6 0.423 0.361 0.000
H7 0.560 0.610 0.500
H8 0.639 0.062 0.000
H9 0.725 0.846 0.000
H10 0.893 0.105 0.500
H11 0.895 0.787 0.500
H12 0.938 0.577 0.000
Br1 0.333 0.667 0.000
Br2 0.667 0.333 0.500

Properties
Energy relative to the elements   -19.4 eV/f.u.
Mass density   3.71 g/cm³
VASP energy   -9.21 eV per atom
Spin magnetization   0.00 μB/cell

Record 13
# TbH2Br

A geometry-optimized TbH2Br structure (r2SCAN, the Materials Project database).

Cell: 10.680 10.680 10.680 Å, 20.34 20.34 20.34°
Fractional coordinates of all 8 atoms:
Tb1 0.115 0.115 0.115
Tb2 0.885 0.885 0.885
H1 0.186 0.186 0.186
H2 0.455 0.455 0.455
H3 0.545 0.545 0.545
H4 0.814 0.814 0.814
Br1 0.280 0.280 0.280
Br2 0.720 0.720 0.720

Properties
Energy relative to the elements   -5.0 eV/f.u.
Mass density   6.21 g/cm³
VASP energy   -14.11 eV per atom
Spin magnetization   0.00 μB/cell

Record 14
# RbHf2Br9

A geometry-optimized RbHf2Br9 structure (r2SCAN, the Materials Project database).

Cell: 10.121 6.868 13.030 Å, 90.00 113.50 90.00°
Fractional coordinates of all 24 atoms:
Rb1 0.000 0.086 0.250
Rb2 0.000 0.914 0.750
Hf1 0.322 0.239 0.633
Hf2 0.322 0.761 0.133
Hf3 0.678 0.239 0.867
Hf4 0.678 0.761 0.367
Br1 0.110 0.388 0.658
Br2 0.110 0.612 0.158
Br3 0.202 0.082 0.058
Br4 0.202 0.918 0.558
Br5 0.286 0.392 0.450
Br6 0.286 0.608 0.950
Br7 0.418 0.089 0.846
Br8 0.418 0.911 0.346
Br9 0.500 0.469 0.250
Br10 0.500 0.531 0.750
Br11 0.582 0.089 0.654
Br12 0.582 0.911 0.154
Br13 0.714 0.392 0.050
Br14 0.714 0.608 0.550
Br15 0.798 0.082 0.442
Br16 0.798 0.918 0.942
Br17 0.890 0.388 0.842
Br18 0.890 0.612 0.342

Properties
Energy relative to the elements   -20.5 eV/f.u.
Mass density   4.64 g/cm³
VASP energy   -20.34 eV per atom
Spin magnetization   0.00 μB/cell

Record 15
# HgBr2

A geometry-optimized HgBr2 structure (r2SCAN, the Materials Project database).

Cell: 7.064 7.064 6.531 Å, 90.00 90.00 120.00°
Fractional coordinates of all 9 atoms:
Hg1 0.000 0.000 0.000
Hg2 0.333 0.667 0.997
Hg3 0.667 0.333 0.997
Br1 0.000 0.332 0.754
Br2 0.000 0.666 0.242
Br3 0.332 0.000 0.754
Br4 0.334 0.334 0.242
Br5 0.666 0.000 0.242
Br6 0.668 0.668 0.754

Properties
Energy relative to the elements   -1.6 eV/f.u.
Mass density   6.36 g/cm³
VASP energy   -25.81 eV per atom
Spin magnetization   0.00 μB/cell

Record 16
# HgBr2

A geometry-optimized HgBr2 structure (r2SCAN, the Materials Project database).

Cell: 4.730 6.854 12.786 Å, 90.00 90.00 90.00°
Fractional coordinates of all 12 atoms:
Hg1 0.000 0.165 0.000
Hg2 0.000 0.835 0.500
Hg3 0.500 0.335 0.500
Hg4 0.500 0.665 0.000
Br1 0.000 0.109 0.373
Br2 0.000 0.440 0.127
Br3 0.000 0.560 0.627
Br4 0.000 0.891 0.873
Br5 0.500 0.060 0.627
Br6 0.500 0.391 0.873
Br7 0.500 0.609 0.373
Br8 0.500 0.940 0.127

Properties
Energy relative to the elements   -1.7 eV/f.u.
Mass density   5.77 g/cm³
VASP energy   -25.85 eV per atom
Spin magnetization   0.00 μB/cell